1.
VASP calculation (PBE-GGA) on crystalline Lu2ZnPt at its relaxed geometry.

```
Lu2ZnPt
1.0
0.0000 3.4517 3.4517
3.4517 0.0000 3.4517
3.4517 3.4517 0.0000
Lu Zn Pt
2 1 1
Cartesian
1.7259 1.7259 1.7259
5.1776 5.1776 5.1776
0.0000 0.0000 0.0000
3.4517 3.4517 3.4517
```

Properties
As for the space group: No. 225.


2.
VASP calculation (PBE-GGA) on crystalline TaRu at its relaxed geometry.

```
TaRu
1.0
3.0679 0.0000 0.0000
0.0000 3.0679 0.0000
0.0000 0.0000 3.4167
Ta Ru
1 1
Cartesian
1.5339 1.5339 1.7083
0.0000 0.0000 0.0000
```

Properties
As for the space group: No. 123.


3.
VASP calculation (PBE-GGA) on crystalline ZnInRh2 at its relaxed geometry.

```
ZnInRh2
1.0
0.0000 3.1416 3.1416
3.1416 0.0000 3.1416
3.1416 3.1416 0.0000
Zn In Rh
1 1 2
Cartesian
0.0000 0.0000 0.0000
3.1416 3.1416 3.1416
1.5708 1.5708 1.5708
4.7124 4.7124 4.7124
```

Properties
As for the space group: No. 225.


4.
VASP calculation (PBE-GGA) on crystalline ReSbO2F8 at its relaxed geometry.

```
ReSbO2F8
1.0
-7.0006 -4.9708 5.8873
-1.1715 -3.5467 -4.3876
8.6211 -9.3315 2.3727
Re Sb O F
4 4 8 32
Cartesian
-4.1089 -8.0402 1.9374
0.3954 -5.0378 0.6241
4.5578 -9.8087 1.9349
0.0536 -12.8111 3.2482
4.3105 -4.6657 1.1863
0.8102 -7.1511 4.1300
-3.5003 -2.4854 2.9436
0.0000 0.0000 0.0000
-2.6712 -7.1475 1.8200
-1.2709 -4.7266 0.5758
-3.7131 -9.2535 3.0540
3.1201 -10.7014 2.0523
4.1620 -8.5954 0.8183
1.7199 -13.1223 3.2965
0.9205 -4.5368 -0.9092
-0.4715 -13.3120 4.7815
-2.0817 -12.2651 2.7463
-2.1470 -10.6013 5.5416
-1.4696 -4.0630 -2.5926
-3.9940 -4.1863 2.2835
0.2051 -12.0114 1.1492
3.8276 -9.5958 -2.0978
0.0612 -10.9780 3.5070
0.2439 -5.8375 2.7231
5.4943 -11.2059 3.4451
-2.8783 -6.6309 -1.2697
-0.4932 -14.2560 2.2189
4.4651 -8.8179 3.5021
-4.0162 -9.0310 0.3702
1.3070 -9.8179 -0.1163
4.4430 -13.6626 1.5888
0.6550 -16.0443 4.4110
6.6533 -9.0129 2.1443
0.3878 -6.8709 0.3653
-0.2061 -1.8045 -0.5387
0.9422 -3.5929 1.6534
-0.8580 -8.0310 3.9886
-1.0907 -9.5575 1.0677
3.3273 -11.2180 5.1420
1.5397 -8.2914 2.8046
-3.3786 -8.2531 5.9701
-5.0885 -6.9081 3.0264
5.5375 -10.9408 0.8459
-5.0454 -6.6430 0.4273
-6.2044 -8.8360 1.7280
1.9185 -13.7859 6.4649
2.5307 -5.5838 1.1260
2.5960 -7.2476 -1.6693
```

Properties
As for the space group: No. 14. As for the total energy after the MP2020 corrections: -5.9902 eV/atom.


5.
VASP calculation (PBE-GGA) on crystalline Fe3Pb3N5 at its relaxed geometry.

```
Fe3Pb3N5
1.0
5.6590 -0.0243 0.1213
-0.6831 7.4757 0.2833
-1.8018 -2.7000 7.5902
Fe Pb N
6 6 10
Cartesian
3.2465 -0.2540 7.6451
-0.0724 5.0054 0.3497
2.1221 5.7536 4.8613
1.0520 -1.0023 3.1335
-1.3867 5.0213 5.8234
4.5609 -0.2699 2.1714
2.9947 1.8370 4.6033
0.1794 2.9143 3.3915
1.3323 3.7934 6.9588
1.8418 0.9579 1.0360
2.9568 4.2516 2.0103
0.2173 0.4997 5.9845
3.7619 -1.0079 6.0695
-0.5878 5.7593 1.9253
3.0973 4.2665 4.7974
0.0768 0.4849 3.1974
2.3431 1.3791 7.2786
0.8310 3.3722 0.7162
0.2347 5.5457 4.9991
2.9394 -0.7943 2.9957
-1.2637 3.6345 6.9854
4.4378 1.1168 1.0094
```

Properties
As for the space group: No. 2. As for the total energy after the MP2020 corrections: -6.9222 eV/atom.


6.
VASP calculation (PBE-GGA) on crystalline YHO2 at its relaxed geometry.

```
YHO2
1.0
3.6708 0.0000 0.0000
0.0000 4.3461 0.0000
0.0000 -2.0373 5.6960
Y H O
2 2 4
Cartesian
2.7531 2.2519 1.7697
0.9177 0.0568 3.9263
0.9177 4.0866 0.5565
2.7531 -1.7779 5.1394
0.9177 2.2035 3.1340
2.7531 0.1053 2.5620
0.9177 3.1263 0.3847
2.7531 -0.8175 5.3113
```

Properties
As for the space group: No. 11. As for the total energy after the MP2020 corrections: -7.9155 eV/atom.


| no. | energy of formation (eV/atom) |
| --- | --- |
| 1 | -0.8559 |
| 2 | -0.3195 |
| 3 | -0.4279 |
| 4 | -2.5081 |
| 5 | 0.1897 |
| 6 | -2.9767 |